DFT (r²SCAN) results for a geometry-optimized CsSmSiS4 structure.

Structure (POSCAR):
```
CsSmSiS4
1.0
-5.9477 2.4407 -0.5049
-1.5379 -4.7032 -4.6195
-5.5880 -10.9303 12.9885
Cs Sm Si S
4 4 4 16
direct
0.0089 0.5076 0.4674
0.4911 0.4924 0.9674
0.9911 0.0076 0.0326
0.5089 0.9924 0.5326
0.2076 0.5201 0.7281
0.7076 0.9799 0.2719
0.7924 0.0201 0.7719
0.2924 0.4799 0.2281
0.7894 0.5159 0.1666
0.2894 0.9841 0.8334
0.7106 0.4841 0.6666
0.2106 0.0159 0.3334
0.5491 0.9882 0.9042
0.6082 0.2540 0.1545
0.1151 0.0657 0.2214
0.4282 0.2456 0.3546
0.3849 0.9343 0.7214
0.3918 0.7540 0.3455
0.8918 0.7460 0.6545
0.6151 0.4343 0.7786
0.9509 0.0118 0.4042
0.5718 0.7456 0.1454
0.0491 0.5118 0.0958
0.0718 0.7544 0.8546
0.1082 0.2460 0.8455
0.9282 0.2544 0.6454
0.4509 0.4882 0.5958
0.8849 0.5657 0.2786
```

Results
energy of formation	-1.6661	eV per atom
magnetization	0.0	μB per cell